No. 1
Entry from Materials Project: a relaxed structure of Ta4Se8SI8 (PBE).

Computed properties:
The value obtained for the total energy is -4.93 eV/atom. For the formation energy from the elements, the calculation gives -734 meV per atom. Its space-group type is No. 33. The magnetization is 0.05 μB per cell.

Unit cell a=14.9805 b=15.1213 c=13.3552 alpha=90.00 beta=90.00 gamma=90.00
Closest atoms and distances in Å follow each position.
Positions (direct):
Ta 0.1757 0.1979 0.1226  1 S 2.48, 4 Se 2.65-2.67, 2 I 2.74-2.76
Ta 0.1827 0.0035 0.0000  1 S 2.45, 4 Se 2.64-2.68, 1 I 2.73
Ta 0.1982 0.3013 0.9036  1 S 2.44, 4 Se 2.64-2.67
Ta 0.2051 0.1113 0.7822  1 S 2.47, 4 Se 2.66-2.68, 1 I 2.74
Ta 0.2949 0.6113 0.2822  1 S 2.47, 4 Se 2.66-2.68, 1 I 2.74
Ta 0.3018 0.8013 0.4036  1 S 2.44, 4 Se 2.64-2.67
Ta 0.3173 0.5035 0.5000  1 S 2.45, 4 Se 2.64-2.68, 1 I 2.73
Ta 0.3243 0.6979 0.6226  1 S 2.48, 4 Se 2.65-2.67, 2 I 2.74-2.76
Ta 0.6757 0.3021 0.1226  1 S 2.48, 4 Se 2.65-2.67, 2 I 2.74-2.76
Ta 0.6827 0.4965 0.0000  1 S 2.45, 4 Se 2.64-2.68, 1 I 2.73
Ta 0.6982 0.1987 0.9036  1 S 2.44, 4 Se 2.64-2.67
Ta 0.7051 0.3887 0.7822  1 S 2.47, 4 Se 2.66-2.68, 1 I 2.74
Ta 0.7949 0.8887 0.2822  1 S 2.47, 4 Se 2.66-2.68, 1 I 2.74
Ta 0.8018 0.6987 0.4036  1 S 2.44, 4 Se 2.64-2.67
Ta 0.8173 0.9965 0.5000  1 S 2.45, 4 Se 2.64-2.68, 1 I 2.73
Ta 0.8243 0.8021 0.6226  1 S 2.48, 4 Se 2.65-2.67, 2 I 2.74-2.76
Se 0.0487 0.0771 0.1004  1 Se 2.39, 2 Ta 2.65-2.66
Se 0.0598 0.3026 0.0281  1 Se 2.36
Se 0.0708 0.0098 0.8440  1 Se 2.36
Se 0.0813 0.2381 0.7743  1 Se 2.37, 1 Ta 2.64
Se 0.1752 0.0340 0.1972  1 Se 2.39, 1 Ta 2.67
Se 0.1918 0.3707 0.0858  1 Se 2.36
Se 0.2083 0.9372 0.8191  1 Se 2.36
Se 0.2239 0.2734 0.7086  1 Se 2.37
Se 0.2761 0.7734 0.2086  1 Se 2.37
Se 0.2917 0.4372 0.3191  1 Se 2.36
Se 0.3082 0.8707 0.5858  1 Se 2.36
Se 0.3248 0.5340 0.6972  1 Se 2.39, 1 Ta 2.67
Se 0.4187 0.7381 0.2743  1 Se 2.37, 1 Ta 2.64
Se 0.4292 0.5098 0.3440  1 Se 2.36
Se 0.4402 0.8026 0.5281  1 Se 2.36
Se 0.4513 0.5771 0.6004  1 Se 2.39, 2 Ta 2.65-2.66
Se 0.5487 0.4229 0.1004  1 Se 2.39, 2 Ta 2.65-2.66
Se 0.5598 0.1974 0.0281  1 Se 2.36
Se 0.5708 0.4902 0.8440  1 Se 2.36
Se 0.5813 0.2619 0.7743  1 Se 2.37, 1 Ta 2.64
Se 0.6752 0.4660 0.1972  1 Se 2.39, 1 Ta 2.67
Se 0.6918 0.1293 0.0858  1 Se 2.36
Se 0.7083 0.5628 0.8191  1 Se 2.36
Se 0.7239 0.2266 0.7086  1 Se 2.37
Se 0.7761 0.7266 0.2086  1 Se 2.37
Se 0.7917 0.0628 0.3191  1 Se 2.36
Se 0.8082 0.6293 0.5858  1 Se 2.36
Se 0.8248 0.9660 0.6972  1 Se 2.39, 1 Ta 2.67
Se 0.9187 0.7619 0.2743  1 Se 2.37, 1 Ta 2.64
Se 0.9292 0.9902 0.3440  1 Se 2.36
Se 0.9402 0.6974 0.5281  1 Se 2.36
Se 0.9513 0.9229 0.6004  1 Se 2.39, 2 Ta 2.65-2.66
S 0.2367 0.1521 0.9576  4 Ta 2.44-2.48
S 0.2633 0.6521 0.4576  4 Ta 2.44-2.48
S 0.7367 0.3479 0.9576  4 Ta 2.44-2.48
S 0.7633 0.8479 0.4576  4 Ta 2.44-2.48
I 0.1002 0.2489 0.3021  1 Ta 2.76
I 0.1077 0.8395 0.0451  1 Ta 2.79
I 0.1147 0.5909 0.2531  1 Ta 2.74
I 0.1184 0.8418 0.4099  1 Ta 2.82
I 0.1433 0.4567 0.5297  1 Ta 2.73
I 0.1501 0.4726 0.8460  1 Ta 2.80
I 0.1516 0.7064 0.6892  1 Ta 2.74
I 0.1620 0.0678 0.5866  1 Ta 2.77
I 0.3380 0.5678 0.0866  1 Ta 2.77
I 0.3484 0.2064 0.1892  1 Ta 2.74
I 0.3499 0.9726 0.3460  1 Ta 2.80
I 0.3567 0.9567 0.0297  1 Ta 2.73
I 0.3816 0.3418 0.9099  1 Ta 2.82
I 0.3853 0.0909 0.7531  1 Ta 2.74
I 0.3923 0.3395 0.5451  1 Ta 2.79
I 0.3998 0.7489 0.8021  1 Ta 2.76
I 0.6002 0.2511 0.3021  1 Ta 2.76
I 0.6077 0.6605 0.0451  1 Ta 2.79
I 0.6147 0.9091 0.2531  1 Ta 2.74
I 0.6184 0.6582 0.4099  1 Ta 2.82
I 0.6433 0.0433 0.5297  1 Ta 2.73
I 0.6501 0.0274 0.8460  1 Ta 2.80
I 0.6516 0.7936 0.6892  1 Ta 2.74
I 0.6620 0.4322 0.5866  1 Ta 2.77
I 0.8380 0.9322 0.0866  1 Ta 2.77
I 0.8484 0.2936 0.1892  1 Ta 2.74
I 0.8499 0.5274 0.3460  1 Ta 2.80
I 0.8567 0.5433 0.0297  1 Ta 2.73
I 0.8816 0.1582 0.9099  1 Ta 2.82
I 0.8853 0.4091 0.7531  1 Ta 2.74
I 0.8923 0.1605 0.5451  1 Ta 2.79
I 0.8998 0.7511 0.8021  1 Ta 2.76

***

No. 2
Entry from Materials Project: a relaxed structure of CaAg2 (PBE).

Computed properties:
The value obtained for the total energy is -2.85 eV/atom. For the formation energy from the elements, the calculation gives -298 meV per atom. Its space-group type is No. 74.

Unit cell a=4.7186 b=7.3460 c=8.2753 alpha=90.00 beta=90.00 gamma=90.00
Closest atoms and distances in Å follow each position.
Positions (direct):
Ca 0.0000 0.2500 0.0474  12 Ag 3.27-3.51
Ca 0.0000 0.7500 0.9526  12 Ag 3.27-3.51
Ca 0.5000 0.2500 0.4526  12 Ag 3.27-3.51
Ca 0.5000 0.7500 0.5474  12 Ag 3.27-3.51
Ag 0.0000 0.0507 0.6616  4 Ag 2.78-2.93
Ag 0.0000 0.4493 0.6616  4 Ag 2.78-2.93
Ag 0.0000 0.5507 0.3384  4 Ag 2.78-2.93
Ag 0.0000 0.9493 0.3384  4 Ag 2.78-2.93
Ag 0.5000 0.0507 0.8384  4 Ag 2.78-2.93
Ag 0.5000 0.4493 0.8384  4 Ag 2.78-2.93
Ag 0.5000 0.5507 0.1616  4 Ag 2.78-2.93
Ag 0.5000 0.9493 0.1616  4 Ag 2.78-2.93